(1)
The following is a PBE-GGA calculation of crystalline AlInGaSb3 at its relaxed geometry, from the Materials Project.

Computed properties:
- Total energy: -22.7 eV/cell
- Size of the total moment: 0.0 μB/f.u.

Unit cell a=10.016 b=10.016 c=10.016 alpha=154.04 beta=153.96 gamma=37.09
Positions (direct):
Al 0.000 0.000 0.000
In 0.670 0.670 0.000
Ga 0.339 0.339 0.000
Sb 0.260 0.760 0.500
Sb 0.579 0.079 0.500
Sb 0.920 0.420 0.500

(2)
The following is a PBE-GGA calculation of crystalline Na2MnN2 at its relaxed geometry, from the Materials Project.

Computed properties:
- Total energy: -118.4 eV/cell

Unit cell a=6.064 b=4.890 c=10.609 alpha=90.00 beta=90.00 gamma=90.00
Positions (direct):
Na 0.077 0.250 0.181
Na 0.181 0.250 0.536
Na 0.319 0.750 0.036
Na 0.423 0.750 0.681
Na 0.577 0.250 0.319
Na 0.681 0.250 0.964
Na 0.819 0.750 0.464
Na 0.923 0.750 0.819
Mn 0.227 0.250 0.830
Mn 0.273 0.750 0.330
Mn 0.727 0.250 0.670
Mn 0.773 0.750 0.170
N 0.042 0.750 0.232
N 0.236 0.750 0.481
N 0.264 0.250 0.981
N 0.458 0.250 0.732
N 0.542 0.750 0.268
N 0.736 0.750 0.019
N 0.764 0.250 0.519
N 0.958 0.250 0.768

(3)
The following is a PBE-GGA calculation of crystalline ZnCdPt2 at its relaxed geometry, from the Materials Project.

Computed properties:
- Total energy: -16.1 eV/cell

Unit cell a=2.954 b=2.954 c=7.387 alpha=90.00 beta=90.00 gamma=90.00
Positions (direct):
Zn 0.000 0.000 0.000
Cd 0.000 0.000 0.500
Pt 0.500 0.500 0.225
Pt 0.500 0.500 0.775

What did the third record say?
The following is a PBE-GGA calculation of crystalline ZnCdPt2 at its relaxed geometry, from the Materials Project.

Computed properties:
- Total energy: -16.1 eV/cell

Unit cell a=2.954 b=2.954 c=7.387 alpha=90.00 beta=90.00 gamma=90.00
Positions (direct):
Zn 0.000 0.000 0.000
Cd 0.000 0.000 0.500
Pt 0.500 0.500 0.225
Pt 0.500 0.500 0.775